1.
{"formula": "Ba3YbF6", "functional": "meta-GGA r2SCAN", "state": "relaxed", "cell": [[4.2186, 0.0000, 0.0000], [-1.3030, 7.7254, 0.0000], [-1.6373, -3.7682, 6.6962]], "species": ["Ba", "Ba", "Ba", "Yb", "F", "F", "F", "F", "F", "F"], "frac_coords": [[0.0000, 0.0000, 0.0000], [0.0000, 0.5000, 0.5000], [0.5000, 0.0000, 0.5000], [0.0000, 0.5000, 0.0000], [0.0810, 0.2287, 0.8106], [0.2713, 0.6900, 0.9175], [0.3647, 0.5795, 0.2769], [0.6353, 0.4205, 0.7231], [0.7287, 0.3100, 0.0825], [0.9190, 0.7713, 0.1894]], "vol_a3_per_cell": 218.2, "formation_energy_ev_per_fu": -34.78, "m_tot_mub_per_fu": 0.0, "spacegroup": "P-1 (2)"}

***

2.
{"formula": "LiEuGe2", "functional": "meta-GGA r2SCAN", "state": "relaxed", "cell": [[8.0362, 0.0000, 0.0000], [0.0000, 3.9606, 0.0000], [0.0000, 0.0000, 10.8527]], "species": ["Li", "Li", "Li", "Li", "Eu", "Eu", "Eu", "Eu", "Ge", "Ge", "Ge", "Ge", "Ge", "Ge", "Ge", "Ge"], "frac_coords": [[0.0074, 0.2500, 0.1107], [0.4926, 0.7500, 0.6107], [0.5074, 0.2500, 0.3893], [0.9926, 0.7500, 0.8893], [0.1351, 0.7500, 0.3658], [0.3649, 0.2500, 0.8658], [0.6351, 0.7500, 0.1342], [0.8649, 0.2500, 0.6342], [0.1624, 0.7500, 0.6793], [0.2260, 0.7500, 0.0662], [0.2740, 0.2500, 0.5662], [0.3376, 0.2500, 0.1793], [0.6624, 0.7500, 0.8207], [0.7260, 0.7500, 0.4338], [0.7740, 0.2500, 0.9338], [0.8376, 0.2500, 0.3207]], "vol_a3_per_cell": 345.4, "formation_energy_ev_per_fu": -2.63, "m_tot_mub_per_fu": 6.9, "spacegroup": "Pnma (62)"}

***

3.
{"formula": "KAlSe2", "functional": "meta-GGA r2SCAN", "state": "relaxed", "cell": [[5.4637, -5.4666, 0.0000], [5.4637, 5.4666, 0.0000], [-2.7562, 0.0000, 15.2008]], "species": ["K", "K", "K", "K", "K", "K", "K", "K", "Al", "Al", "Al", "Al", "Al", "Al", "Al", "Al", "Se", "Se", "Se", "Se", "Se", "Se", "Se", "Se", "Se", "Se", "Se", "Se", "Se", "Se", "Se", "Se"], "frac_coords": [[0.1515, 0.7758, 0.6104], [0.2229, 0.3462, 0.8881], [0.2242, 0.8485, 0.8896], [0.3462, 0.2229, 0.3881], [0.6538, 0.7771, 0.6119], [0.7758, 0.1515, 0.1104], [0.7771, 0.6538, 0.1119], [0.8485, 0.2242, 0.3896], [0.0876, 0.7099, 0.3375], [0.2898, 0.4197, 0.1623], [0.2901, 0.9124, 0.1625], [0.4197, 0.2898, 0.6623], [0.5803, 0.7102, 0.3377], [0.7099, 0.0876, 0.8375], [0.7102, 0.5803, 0.8377], [0.9124, 0.2901, 0.6625], [0.0557, 0.4331, 0.2495], [0.0568, 0.9432, 0.2500], [0.1425, 0.2674, 0.5702], [0.2662, 0.6421, 0.0662], [0.2674, 0.1425, 0.0702], [0.3579, 0.7338, 0.4338], [0.4331, 0.0557, 0.7495], [0.4331, 0.5669, 0.7500], [0.5669, 0.4331, 0.2500], [0.5669, 0.9443, 0.2505], [0.6421, 0.2662, 0.5662], [0.7326, 0.8575, 0.9298], [0.7338, 0.3579, 0.9338], [0.8575, 0.7326, 0.4298], [0.9432, 0.0568, 0.7500], [0.9443, 0.5669, 0.7505]], "vol_a3_per_cell": 908.0, "formation_energy_ev_per_fu": -5.41, "m_tot_mub_per_fu": 0.0, "spacegroup": "C2/c (15)"}

***

4.
{"formula": "Ca2LuNbO6", "functional": "meta-GGA r2SCAN", "state": "relaxed", "cell": [[0.0000, 4.0968, 4.0968], [4.0968, 0.0000, 4.0968], [4.0968, 4.0968, 0.0000]], "species": ["Ca", "Ca", "Lu", "Nb", "O", "O", "O", "O", "O", "O"], "frac_coords": [[0.2500, 0.2500, 0.2500], [0.7500, 0.7500, 0.7500], [0.0000, 0.0000, 0.0000], [0.5000, 0.5000, 0.5000], [0.2580, 0.2580, 0.7420], [0.2580, 0.7420, 0.2580], [0.2580, 0.7420, 0.7420], [0.7420, 0.2580, 0.2580], [0.7420, 0.2580, 0.7420], [0.7420, 0.7420, 0.2580]], "vol_a3_per_cell": 137.5, "formation_energy_ev_per_fu": -32.15, "m_tot_mub_per_fu": 0.0, "spacegroup": "Fm-3m (225)"}

***

Q: Number 1 is which compound?
A: Ba3YbF6